Record 1
The following is a DFT calculation (PBE-GGA) of a relaxed Mg6SiSn crystal.

Size of the total moment: 0.00 μB/f.u.
Formation energy from the elements: 0.02 eV per atom

Cell lengths 5.154, 6.084, 11.011 Å; angles 90.00, 90.00, 90.00 degrees
Positions (direct):
Mg 0.000 0.740 0.092
Mg 0.000 0.260 0.092
Mg 0.000 0.000 0.332
Mg 0.500 0.250 0.416
Mg 0.500 0.750 0.416
Mg 0.500 0.000 0.169
Mg 0.000 0.240 0.592
Mg 0.000 0.760 0.592
Mg 0.000 0.500 0.832
Mg 0.500 0.750 0.916
Mg 0.500 0.250 0.916
Mg 0.500 0.500 0.669
Si 0.500 0.500 0.141
Si 0.500 0.000 0.641
Sn 0.000 0.500 0.341
Sn 0.000 0.000 0.841

***

Record 2
The following is a DFT calculation (PBE-GGA) of a relaxed YErSn2Pd4 crystal.

Size of the total moment: 0.00 μB/f.u.
Formation energy from the elements: -0.88 eV per atom

Cell lengths 8.289, 8.289, 8.289 Å; angles 33.73, 33.73, 33.73 degrees
Positions (direct):
Y 0.000 0.000 0.000
Er 0.500 0.500 0.500
Sn 0.250 0.250 0.250
Sn 0.750 0.750 0.750
Pd 0.126 0.126 0.126
Pd 0.375 0.375 0.375
Pd 0.625 0.625 0.625
Pd 0.874 0.874 0.874

***

Record 3
The following is a DFT calculation (PBE-GGA) of a relaxed Mn3SiN4 crystal.

Formation energy from the elements: -0.52 eV per atom
Total energy after the MP2020 corrections: -140.8 eV/cell

Cell lengths 6.399, 5.430, 4.598 Å; angles 90.00, 90.00, 90.00 degrees
Positions (direct):
Mn 0.000 0.230 0.000
Mn 0.225 0.637 0.995
Mn 0.275 0.363 0.495
Mn 0.500 0.770 0.500
Mn 0.725 0.363 0.495
Mn 0.775 0.637 0.995
Si 0.000 0.872 0.521
Si 0.500 0.128 0.021
N 0.000 0.181 0.411
N 0.000 0.873 0.901
N 0.215 0.705 0.405
N 0.285 0.295 0.905
N 0.500 0.127 0.401
N 0.500 0.819 0.911
N 0.715 0.295 0.905
N 0.785 0.705 0.405

***

Record 4
The following is a DFT calculation (PBE-GGA) of a relaxed RbH2SNO3 crystal.

Size of the total moment: 0.00 μB/f.u.
Formation energy from the elements: -1.41 eV per atom
Total energy after the MP2020 corrections: -370.8 eV/cell

Cell lengths 7.549, 7.954, 14.817 Å; angles 90.00, 90.00, 90.00 degrees
Positions (direct):
Rb 0.131 0.142 0.083
Rb 0.131 0.358 0.583
Rb 0.369 0.642 0.083
Rb 0.369 0.858 0.583
Rb 0.631 0.142 0.417
Rb 0.631 0.358 0.917
Rb 0.869 0.642 0.417
Rb 0.869 0.858 0.917
H 0.074 0.527 0.225
H 0.074 0.973 0.725
H 0.091 0.602 0.809
H 0.091 0.898 0.309
H 0.409 0.102 0.809
H 0.409 0.398 0.309
H 0.426 0.027 0.225
H 0.426 0.473 0.725
H 0.574 0.527 0.275
H 0.574 0.973 0.775
H 0.591 0.602 0.691
H 0.591 0.898 0.191
H 0.909 0.102 0.691
H 0.909 0.398 0.191
H 0.926 0.027 0.275
H 0.926 0.473 0.775
S 0.123 0.156 0.363
S 0.123 0.344 0.863
S 0.377 0.656 0.363
S 0.377 0.844 0.863
S 0.623 0.156 0.137
S 0.623 0.344 0.637
S 0.877 0.656 0.137
S 0.877 0.844 0.637
N 0.003 0.509 0.829
N 0.003 0.991 0.329
N 0.497 0.009 0.829
N 0.497 0.491 0.329
N 0.503 0.509 0.671
N 0.503 0.991 0.171
N 0.997 0.009 0.671
N 0.997 0.491 0.171
O 0.007 0.714 0.613
O 0.007 0.786 0.113
O 0.226 0.096 0.441
O 0.226 0.404 0.941
O 0.239 0.208 0.287
O 0.239 0.292 0.787
O 0.261 0.708 0.287
O 0.261 0.792 0.787
O 0.274 0.596 0.441
O 0.274 0.904 0.941
O 0.493 0.214 0.613
O 0.493 0.286 0.113
O 0.507 0.714 0.887
O 0.507 0.786 0.387
O 0.726 0.096 0.059
O 0.726 0.404 0.559
O 0.739 0.208 0.213
O 0.739 0.292 0.713
O 0.761 0.708 0.213
O 0.761 0.792 0.713
O 0.774 0.596 0.059
O 0.774 0.904 0.559
O 0.993 0.214 0.887
O 0.993 0.286 0.387

***

Record 5
The following is a DFT calculation (PBE-GGA) of a relaxed ZrScCo2 crystal.

Formation energy from the elements: -0.36 eV per atom

Cell lengths 4.484, 4.484, 4.484 Å; angles 60.00, 60.00, 60.00 degrees
Positions (direct):
Zr 0.000 0.000 0.000
Sc 0.500 0.500 0.500
Co 0.250 0.250 0.250
Co 0.750 0.750 0.750

***

Record 6
The following is a DFT calculation (PBE-GGA) of a relaxed ScInS3O12 crystal.

Size of the total moment: 0.00 μB/f.u.
Formation energy from the elements: -2.24 eV per atom
Total energy after the MP2020 corrections: -714.1 eV/cell

Cell lengths 8.884, 8.884, 22.937 Å; angles 90.00, 90.00, 120.00 degrees
Positions (direct):
Sc 0.333 0.667 0.062
Sc 0.333 0.667 0.271
Sc 0.333 0.667 0.772
Sc 0.667 0.333 0.228
Sc 0.667 0.333 0.729
Sc 0.667 0.333 0.938
In 0.000 0.000 0.104
In 0.000 0.000 0.396
In 0.000 0.000 0.604
In 0.000 0.000 0.896
In 0.333 0.667 0.563
In 0.667 0.333 0.437
S 0.000 0.292 0.500
S 0.000 0.707 0.000
S 0.042 0.666 0.667
S 0.044 0.378 0.167
S 0.292 0.000 0.500
S 0.293 0.293 0.000
S 0.334 0.376 0.667
S 0.334 0.956 0.167
S 0.376 0.334 0.333
S 0.378 0.044 0.833
S 0.622 0.666 0.167
S 0.624 0.958 0.667
S 0.666 0.042 0.333
S 0.666 0.622 0.833
S 0.707 0.000 0.000
S 0.708 0.708 0.500
S 0.956 0.334 0.833
S 0.958 0.624 0.333
O 0.025 0.204 0.160
O 0.025 0.822 0.660
O 0.032 0.215 0.447
O 0.034 0.818 0.948
O 0.116 0.633 0.614
O 0.124 0.487 0.114
O 0.130 0.489 0.824
O 0.131 0.643 0.324
O 0.154 0.460 0.219
O 0.154 0.695 0.719
O 0.155 0.689 0.009
O 0.156 0.465 0.507
O 0.178 0.203 0.660
O 0.178 0.975 0.160
O 0.182 0.217 0.948
O 0.183 0.968 0.447
O 0.203 0.178 0.340
O 0.204 0.025 0.840
O 0.215 0.032 0.553
O 0.217 0.182 0.052
O 0.305 0.460 0.719
O 0.306 0.846 0.219
O 0.309 0.844 0.507
O 0.311 0.465 0.009
O 0.357 0.488 0.324
O 0.359 0.870 0.824
O 0.362 0.876 0.114
O 0.367 0.483 0.614
O 0.460 0.154 0.781
O 0.460 0.305 0.281
O 0.465 0.156 0.493
O 0.465 0.311 0.991
O 0.483 0.367 0.386
O 0.487 0.124 0.886
O 0.488 0.357 0.676
O 0.489 0.130 0.176
O 0.511 0.641 0.824
O 0.512 0.869 0.324
O 0.513 0.638 0.114
O 0.517 0.884 0.614
O 0.535 0.691 0.507
O 0.535 0.845 0.009
O 0.540 0.694 0.219
O 0.540 0.846 0.719
O 0.633 0.116 0.386
O 0.638 0.513 0.886
O 0.641 0.511 0.176
O 0.643 0.131 0.676
O 0.689 0.155 0.991
O 0.691 0.535 0.493
O 0.694 0.540 0.781
O 0.695 0.154 0.281
O 0.783 0.966 0.948
O 0.785 0.817 0.447
O 0.796 0.822 0.160
O 0.797 0.975 0.660
O 0.817 0.785 0.553
O 0.818 0.034 0.052
O 0.822 0.025 0.340
O 0.822 0.796 0.840
O 0.844 0.309 0.493
O 0.845 0.535 0.991
O 0.846 0.306 0.781
O 0.846 0.540 0.281
O 0.869 0.512 0.676
O 0.870 0.359 0.176
O 0.876 0.362 0.886
O 0.884 0.517 0.386
O 0.966 0.783 0.052
O 0.968 0.183 0.553
O 0.975 0.178 0.840
O 0.975 0.797 0.340

***

Question: formation energy from the elements of number 3 (Mn3SiN4)?
Answer: -0.52 eV per atom